DFT (PBE) results for a relaxed HfP2O9 crystal.

## Properties
DFT formation energy in kJ per mole of atoms: -226.5

abc: 9.1181 5.3645 15.6041
angles: 90.00 110.16 90.00
Closest atoms and distances in Å follow each position.
Space group P2_1/c (No. 14)
One atom of each set of equivalent atoms:
Hf 0.2369 0.2334 0.4752 x4  6 O 2.05-2.07
P 0.0080 0.2407 0.1203 x4  4 O 1.53-1.56
P 0.4561 0.7280 0.6061 x4  4 O 1.54-1.57
O 0.0727 0.5043 0.8911 x4  1 P 1.53
O 0.1048 0.2204 0.0573 x4  1 P 1.53
O 0.1157 0.5331 0.4016 x4  1 P 1.54
O 0.1229 0.2147 0.2209 x4  1 P 1.56
O 0.2651 0.6182 0.7459 x4  2 O 2.16-2.19
O 0.3421 0.5638 0.0577 x4  1 P 1.54
O 0.3815 0.2122 0.3987 x4  1 P 1.54
O 0.3985 0.0256 0.0616 x4  1 P 1.54
O 0.4705 0.7080 0.7093 x4  1 P 1.57


DFT (PBE) results for a relaxed CoNiTe4 crystal.

## Properties
DFT formation energy in kJ per mole of atoms: -48.8

abc: 5.4492 3.8392 6.6627
angles: 90.00 90.24 90.00
Closest atoms and distances in Å follow each position.
Space group P2/m (No. 10)
One atom of each set of equivalent atoms:
Co 0.0000 0.0000 0.0000 x1  6 Te 2.53-2.56
Ni 0.0000 0.5000 0.5000 x1  6 Te 2.57-2.62
Te 0.2343 0.0000 0.3287 x2  1 Co 2.53, 2 Ni 2.57
Te 0.2416 0.5000 0.8413 x2  2 Co 2.56, 1 Ni 2.62


DFT (PBE) results for a relaxed CuBiO2 crystal.

## Properties
DFT formation energy in kJ per mole of atoms: -121.6

abc: 6.1562 3.6353 6.6940
angles: 90.00 116.07 90.00
Closest atoms and distances in Å follow each position.
Space group P2_1/m (No. 11)
One atom of each set of equivalent atoms:
Cu 0.0275 0.2500 0.1684 x2  2 O 1.84
Bi 0.4321 0.2500 0.7354 x2  3 O 2.21-2.30
O 0.2990 0.7500 0.9112 x2  1 Cu 1.84
O 0.3603 0.2500 0.3041 x2  1 Cu 1.84